# 1
A plane-wave DFT calculation with meta-GGA r2SCAN was carried out for a relaxed structure of Mg4HgAu.

```
Mg4HgAu
1.0
1.4349 2.3161 -3.6229
5.5006 0.5684 2.5419
2.4880 -7.3812 -3.7335
Mg Au Hg
8 2 2
Direct
0.2500 0.4614 0.7916
0.7500 0.5498 0.1996
0.7500 0.6697 0.5695
0.2500 0.3183 0.4475
0.7500 0.0498 0.3004
0.2500 0.9614 0.7084
0.7500 0.1697 0.9305
0.2500 0.8183 0.0525
0.7500 0.2211 0.6164
0.7500 0.7211 0.8836
0.2500 0.2798 0.1175
0.2500 0.7798 0.3825
```

For the volume, the calculation gives 19.9 Å³/atom. As for the formation energy: -374 meV/atom.



# 2
A plane-wave DFT calculation with meta-GGA r2SCAN was carried out for a relaxed structure of SmHgAu2.

```
SmHgAu2
1.0
0.0000 3.5176 3.5176
3.5176 0.0000 3.5176
3.5176 3.5176 0.0000
Au Hg Sm
2 1 1
Direct
0.0000 0.0000 0.0000
0.5000 0.5000 0.5000
0.2500 0.2500 0.2500
0.7500 0.7500 0.7500
```

For the volume, the calculation gives 21.8 Å³/atom. As for the formation energy: -652 meV/atom.



# 3
A plane-wave DFT calculation with meta-GGA r2SCAN was carried out for a relaxed structure of HoAu4.

```
HoAu4
1.0
-2.5682 2.7496 -1.8070
-3.3431 -2.1649 -3.3442
-4.4163 0.7734 2.6318
Au Ho
4 1
Direct
0.8016 0.7983 0.5987
0.5991 0.5991 0.2012
0.4009 0.4009 0.7988
0.1984 0.2017 0.4013
0.0000 0.0000 0.0000
```

For the volume, the calculation gives 18.9 Å³/atom. As for the formation energy: -651 meV/atom.



# 4
A plane-wave DFT calculation with meta-GGA r2SCAN was carried out for a relaxed structure of HoAu3.

```
HoAu3
1.0
4.9831 0.0000 0.0000
0.0000 5.1052 0.0000
0.0000 0.0000 6.1489
Au Ho
6 2
Direct
0.7500 0.8385 0.4937
0.2500 0.1615 0.5063
0.2500 0.1615 0.9937
0.2500 0.6666 0.7500
0.7500 0.8385 0.0063
0.7500 0.3334 0.2500
0.2500 0.6548 0.2500
0.7500 0.3452 0.7500
```

For the volume, the calculation gives 19.6 Å³/atom. As for the formation energy: -790 meV/atom.



# 5
A plane-wave DFT calculation with meta-GGA r2SCAN was carried out for a relaxed structure of Ho2IrAu.

```
Ho2IrAu
1.0
4.5116 0.1198 -1.9280
2.7706 -4.0509 -0.0149
0.9267 -2.3236 -4.2224
Ir Au Ho
1 1 2
Direct
0.0000 0.0000 0.0000
0.5000 0.5000 0.5000
0.7500 0.7500 0.7500
0.2500 0.2500 0.2500
```

For the volume, the calculation gives 20.9 Å³/atom. As for the formation energy: -957 meV/atom.



# 6
A plane-wave DFT calculation with meta-GGA r2SCAN was carried out for a relaxed structure of LiHoAu2.

```
LiHoAu2
1.0
0.0000 3.3931 3.3931
3.3931 0.0000 3.3931
3.3931 3.3931 0.0000
Li Ho Au
1 1 2
Direct
0.7500 0.7500 0.7500
0.2500 0.2500 0.2500
0.0000 0.0000 0.0000
0.5000 0.5000 0.5000
```

For the volume, the calculation gives 19.5 Å³/atom. As for the formation energy: -777 meV/atom.



# 7
A plane-wave DFT calculation with meta-GGA r2SCAN was carried out for a relaxed structure of HoLuAu2.

```
HoLuAu2
1.0
0.0000 3.5258 3.5258
3.5258 0.0000 3.5258
3.5258 3.5258 0.0000
Ho Lu Au
1 1 2
Direct
0.0000 0.0000 0.0000
0.5000 0.5000 0.5000
0.7500 0.7500 0.7500
0.2500 0.2500 0.2500
```

For the volume, the calculation gives 21.9 Å³/atom. As for the formation energy: -972 meV/atom.



# 8
A plane-wave DFT calculation with meta-GGA r2SCAN was carried out for a relaxed structure of HoSi2Au2.

```
HoSi2Au2
1.0
-2.9742 2.9416 -0.6549
1.2032 0.3155 -4.0473
-2.4242 -5.2569 1.0843
Au Si Ho
2 2 1
Direct
0.7500 0.2500 0.5000
0.2500 0.7500 0.5000
0.3881 0.3881 0.7763
0.6119 0.6119 0.2237
0.0000 0.0000 0.0000
```

For the volume, the calculation gives 18.2 Å³/atom. As for the formation energy: -579 meV/atom.



# 9
A plane-wave DFT calculation with meta-GGA r2SCAN was carried out for a relaxed structure of HoSnAu.

```
HoSnAu
1.0
-0.7558 4.0191 -2.3371
-4.3422 1.8111 -0.2279
-1.0355 3.9402 2.3642
Sn Au Ho
1 1 1
Direct
0.0000 0.0000 0.0000
0.2500 0.2500 0.2500
0.5000 0.5000 0.5000
```

For the volume, the calculation gives 24.6 Å³/atom. As for the formation energy: -971 meV/atom.



# 10
A plane-wave DFT calculation with meta-GGA r2SCAN was carried out for a relaxed structure of KAuI4.

```
KAuI4
1.0
7.0863 0.0000 0.0000
0.0000 9.9979 0.0520
0.0000 2.8475 13.8864
Au K I
4 4 16
Direct
0.0000 0.5000 0.0000
0.0000 0.0000 0.0000
0.5000 0.5000 0.5000
0.5000 0.0000 0.5000
0.4359 0.2010 0.8165
0.5641 0.7990 0.1835
0.0641 0.2010 0.3165
0.9359 0.7990 0.6835
0.7925 0.1465 0.5397
0.6547 0.4998 0.6705
0.2799 0.3435 0.0845
0.4336 0.9121 0.6871
0.7201 0.6565 0.9155
0.7075 0.1465 0.0397
0.2201 0.3435 0.5845
0.1547 0.5002 0.8295
0.2925 0.8535 0.9603
0.5664 0.0879 0.3129
0.0664 0.9121 0.1871
0.3453 0.5002 0.3295
0.8453 0.4998 0.1705
0.9336 0.0879 0.8129
0.2075 0.8535 0.4603
0.7799 0.6565 0.4155
```

For the volume, the calculation gives 40.9 Å³/atom. As for the formation energy: -647 meV/atom.



# 11
A plane-wave DFT calculation with meta-GGA r2SCAN was carried out for a relaxed structure of K6NaAu2IO8.

```
K6NaAu2IO8
1.0
-8.1466 -4.0761 3.5272
1.7276 -6.1079 -3.0682
6.5546 -8.3688 5.4678
O Au I K Na
16 4 2 12 2
Direct
0.3390 0.5028 0.4086
0.4193 0.2893 0.6662
0.5807 0.7107 0.3338
0.0562 0.2170 0.8105
0.5718 0.7371 0.0140
0.4282 0.7371 0.5140
0.4282 0.2629 0.9860
0.6610 0.5028 0.9086
0.4193 0.7107 0.8338
0.6610 0.4972 0.5914
0.5807 0.2893 0.1662
0.5718 0.2629 0.4860
0.9438 0.7830 0.1895
0.3390 0.4972 0.0914
0.0562 0.7830 0.6895
0.9438 0.2170 0.3105
0.9542 0.0000 0.2500
0.0458 0.0000 0.7500
0.0000 0.0000 0.5000
0.0000 0.0000 0.0000
0.5000 0.5000 0.5000
0.5000 0.5000 0.0000
0.1808 0.5301 0.5879
0.3558 0.0000 0.2500
0.1808 0.4699 0.9121
0.3370 0.0106 0.5891
0.8192 0.4699 0.4121
0.6630 0.0106 0.0891
0.6630 0.9894 0.4109
0.8437 0.5000 0.7500
0.1563 0.5000 0.2500
0.6442 0.0000 0.7500
0.3370 0.9894 0.9109
0.8192 0.5301 0.0879
0.5062 0.5000 0.7500
0.4938 0.5000 0.2500
```

For the volume, the calculation gives 19.2 Å³/atom. As for the formation energy: -1284 meV/atom.



# 12
A plane-wave DFT calculation with meta-GGA r2SCAN was carried out for a relaxed structure of P10Au7I.

```
P10Au7I
1.0
-3.8121 -3.9953 -2.8749
5.6651 1.1193 -2.3265
4.1514 -8.3457 6.0936
Au P I
7 10 1
Direct
0.5000 0.5000 0.0000
0.0000 0.5000 0.0000
0.0000 0.0000 0.7782
0.3333 0.6667 0.5000
0.6667 0.3333 0.5000
0.5000 0.0000 0.0000
0.0000 0.0000 0.2218
0.3333 0.6667 0.7081
0.6248 0.6248 0.1991
0.6248 0.0000 0.8009
0.0000 0.6248 0.8009
0.6667 0.3333 0.7081
0.3752 0.3752 0.8009
0.3752 0.0000 0.1991
0.3333 0.6667 0.2919
0.0000 0.3752 0.1991
0.6667 0.3333 0.2919
0.0000 0.0000 0.5000
```

For the volume, the calculation gives 20.8 Å³/atom. As for the formation energy: -192 meV/atom.



# 13
A plane-wave DFT calculation with meta-GGA r2SCAN was carried out for a relaxed structure of Te2AuI.

```
Te2AuI
1.0
-3.1196 -1.8641 1.8830
0.3659 -3.7059 -3.0626
8.3075 -5.8049 8.0167
Au Te I
2 4 2
Direct
0.0000 0.5000 0.0000
0.0000 0.5000 0.5000
0.5000 0.1982 0.9208
0.5000 0.8018 0.4208
0.5000 0.1982 0.5792
0.5000 0.8018 0.0792
0.0000 0.7362 0.7500
0.0000 0.2638 0.2500
```

For the volume, the calculation gives 31.9 Å³/atom. As for the formation energy: -134 meV/atom.



# 14
A plane-wave DFT calculation with meta-GGA r2SCAN was carried out for a relaxed structure of In3Au10.

```
In3Au10
1.0
5.3389 -9.2473 0.0000
5.3389 9.2473 0.0000
0.0000 0.0000 4.8121
Au In
20 6
Direct
0.4851 0.2066 0.2500
0.7215 0.5149 0.2500
0.8217 0.8719 0.7500
0.9499 0.8217 0.2500
0.4354 0.0239 0.7500
0.4116 0.4354 0.2500
0.2066 0.7215 0.7500
0.1281 0.9499 0.7500
0.6667 0.3333 0.7500
0.2785 0.4851 0.7500
0.5646 0.9761 0.2500
0.0239 0.5884 0.2500
0.0501 0.1783 0.7500
0.8719 0.0501 0.2500
0.7934 0.2785 0.2500
0.5149 0.7934 0.7500
0.9761 0.4116 0.7500
0.1783 0.1281 0.2500
0.5884 0.5646 0.7500
0.3333 0.6667 0.2500
0.7420 0.1043 0.7500
0.3623 0.2580 0.7500
0.8957 0.6377 0.7500
0.2580 0.8957 0.2500
0.1043 0.3623 0.2500
0.6377 0.7420 0.2500
```

For the volume, the calculation gives 18.3 Å³/atom. As for the formation energy: -140 meV/atom.



# 15
A plane-wave DFT calculation with meta-GGA r2SCAN was carried out for a relaxed structure of KIn2Au4.

```
KIn2Au4
1.0
-4.3751 4.3751 4.2106
4.3751 -4.3751 4.2106
4.3751 4.3751 -4.2106
In Au K
4 8 2
Direct
0.8546 0.3546 0.2092
0.3546 0.1454 0.5000
0.6454 0.8546 0.5000
0.1454 0.6454 0.7908
0.4858 0.9858 0.8015
0.8157 0.3157 0.8015
0.3157 0.5142 0.5000
0.5142 0.0142 0.1985
0.1843 0.6843 0.1985
0.9858 0.1843 0.5000
0.6843 0.4858 0.5000
0.0142 0.8157 0.5000
0.7500 0.7500 0.0000
0.2500 0.2500 0.0000
```

For the volume, the calculation gives 23.0 Å³/atom. As for the formation energy: -346 meV/atom.



# 16
A plane-wave DFT calculation with meta-GGA r2SCAN was carried out for a relaxed structure of K3InAu5.

```
K3InAu5
1.0
-5.6119 -0.0039 0.0013
0.0019 -0.0016 -8.4326
2.7982 -9.8973 4.2138
Au K In
10 6 2
Direct
0.1454 0.1819 0.2893
0.6876 0.6872 0.8750
0.8128 0.3128 0.1254
0.5000 0.5000 0.0000
0.3124 0.3128 0.1250
0.1872 0.6872 0.8747
0.0000 0.0000 0.0000
0.8546 0.8181 0.7107
0.6451 0.6075 0.2894
0.3549 0.3925 0.7106
0.2498 0.6286 0.5001
0.4128 0.0350 0.8262
0.5872 0.9650 0.1738
0.7502 0.3714 0.4999
0.0871 0.7092 0.1739
0.9129 0.2908 0.8261
0.2499 0.0874 0.5002
0.7501 0.9126 0.4998
```

For the volume, the calculation gives 26.0 Å³/atom. As for the formation energy: -386 meV/atom.



# 17
A plane-wave DFT calculation with meta-GGA r2SCAN was carried out for a relaxed structure of LaInAu.

```
LaInAu
1.0
3.9226 -6.7942 0.0000
3.9226 6.7942 0.0000
0.0000 0.0000 4.2959
Au La In
3 3 3
Direct
0.6667 0.3333 0.0000
0.0000 0.0000 0.5000
0.3333 0.6667 0.0000
0.0000 0.5858 0.5000
0.5858 0.0000 0.5000
0.4142 0.4142 0.5000
0.0000 0.2461 0.0000
0.2461 0.0000 0.0000
0.7539 0.7539 0.0000
```

For the volume, the calculation gives 25.4 Å³/atom. As for the formation energy: -877 meV/atom.



# 18
A plane-wave DFT calculation with meta-GGA r2SCAN was carried out for a relaxed structure of Li2InAu.

```
Li2InAu
1.0
3.9660 0.0000 2.2898
1.3220 3.7392 2.2898
0.0000 0.0000 4.5795
Li Au In
2 1 1
Direct
0.5000 0.5000 0.5000
0.2500 0.2500 0.2500
0.7500 0.7500 0.7500
0.0000 0.0000 0.0000
```

For the volume, the calculation gives 17.0 Å³/atom. As for the formation energy: -541 meV/atom.



# 19
A plane-wave DFT calculation with meta-GGA r2SCAN was carried out for a relaxed structure of LiInAu2.

```
LiInAu2
1.0
0.0000 3.2722 3.2722
3.2722 0.0000 3.2722
3.2722 3.2722 0.0000
Li In Au
1 1 2
Direct
0.7500 0.7500 0.7500
0.2500 0.2500 0.2500
0.0000 0.0000 0.0000
0.5000 0.5000 0.5000
```

For the volume, the calculation gives 17.5 Å³/atom. As for the formation energy: -458 meV/atom.



# 20
A plane-wave DFT calculation with meta-GGA r2SCAN was carried out for a relaxed structure of LuInAu.

```
LuInAu
1.0
3.7863 -6.5581 0.0000
3.7863 6.5581 0.0000
0.0000 0.0000 3.9476
In Au Lu
3 3 3
Direct
0.7382 0.0000 0.0000
0.0000 0.7382 0.0000
0.2618 0.2618 0.0000
0.6667 0.3333 0.0000
0.3333 0.6667 0.0000
0.0000 0.0000 0.5000
0.0000 0.4042 0.5000
0.5958 0.5958 0.5000
0.4042 0.0000 0.5000
```

For the volume, the calculation gives 21.8 Å³/atom. As for the formation energy: -830 meV/atom.



# 21
A plane-wave DFT calculation with meta-GGA r2SCAN was carried out for a relaxed structure of Na3In2Au.

```
Na3In2Au
1.0
0.4830 -7.5428 5.8536
-4.9170 -7.9456 -2.0203
4.6106 -7.9076 -2.7575
Na Au In
12 4 8
Direct
0.7952 0.2048 0.2048
0.7952 0.7952 0.2048
0.4548 0.0452 0.0452
0.4548 0.0452 0.4548
0.2048 0.7952 0.2048
0.0452 0.0452 0.4548
0.7952 0.2048 0.7952
0.2048 0.2048 0.7952
0.0452 0.4548 0.0452
0.4548 0.4548 0.0452
0.0452 0.4548 0.4548
0.2048 0.7952 0.7952
0.1250 0.6250 0.6250
0.6250 0.1250 0.6250
0.6250 0.6250 0.1250
0.6250 0.6250 0.6250
0.8332 0.8332 0.5003
0.8332 0.8332 0.8332
0.5003 0.8332 0.8332
0.4168 0.7497 0.4168
0.8332 0.5003 0.8332
0.4168 0.4168 0.7497
0.4168 0.4168 0.4168
0.7497 0.4168 0.4168
```

For the volume, the calculation gives 25.7 Å³/atom. As for the formation energy: -307 meV/atom.



Number 1: energy -237.75 eV/cell. Number 2: energy -182.88 eV/cell. Number 3: energy -238.48 eV/cell. Number 4: energy -375.59 eV/cell. Number 5: energy -172.54 eV/cell. Number 6: energy -139.54 eV/cell. Number 7: energy -176.02 eV/cell. Number 8: energy -154.49 eV/cell. Number 9: energy -111.12 eV/cell. Number 10: energy -634.88 eV/cell. Number 11: energy -472.60 eV/cell. Number 12: energy -472.13 eV/cell. Number 13: energy -253.03 eV/cell. Number 14: energy -1150.80 eV/cell. Number 15: energy -511.87 eV/cell. Number 16: energy -594.06 eV/cell. Number 17: energy -316.62 eV/cell. Number 18: energy -80.10 eV/cell. Number 19: energy -127.97 eV/cell. Number 20: energy -341.20 eV/cell. Number 21: energy -433.10 eV/cell.